Here is ThCu2 after structural relaxation from the Materials Project database. Energies are from PBE.

Properties
Total DFT energy (no corrections): -5.405 eV per atom
Formation enthalpy at 0 K: -0.20 eV/atom
Crystal system: hexagonal
Space-group type: No. 191

Geometry as POSCAR:
```
ThCu2
1.0
4.400 0.000 0.000
-2.200 3.811 0.000
0.000 0.000 3.460
Th Cu
1 2
direct
0.000 0.000 0.000
0.333 0.667 0.500
0.667 0.333 0.500
```